No. 1
A relaxed Li3DySb2 crystal. Source: the Materials Project database, functional meta-GGA r2SCAN.

The space group is P-3m1 (No. 164) and the conventional cell measures 4.5278, 4.5278 and 7.1666 Å, with angles of 90.00, 90.00 and 120.00 degrees. The distinct sites, in fractional coordinates, are Li at (0.0000, 0.0000, 0.0000), Li at (0.3333, 0.6667, 0.1494), Dy at (0.0000, 0.0000, 0.5000) and Sb at (0.3333, 0.6667, 0.7483).

For the formation energy, the calculation gives -973 meV per atom.

=====

No. 2
A relaxed Li2DyTl crystal. Source: the Materials Project database, functional meta-GGA r2SCAN.

The space group is Fm-3m (No. 225) and the conventional cell measures 6.778, 6.778 and 6.778 Å, with angles of 90.00, 90.00 and 90.00 degrees. The distinct sites, in fractional coordinates, are Li at (0.250, 0.250, 0.250), Dy at (0.000, 0.000, 0.000) and Tl at (0.000, 0.000, 0.500).

For the formation energy, the calculation gives -310 meV per atom.

=====

No. 3
A relaxed Dy3Lu crystal. Source: the Materials Project database, functional meta-GGA r2SCAN.

The space group is I4/mmm (No. 139) and the conventional cell measures 4.983, 4.983 and 9.978 Å, with angles of 90.00, 90.00 and 90.00 degrees. The distinct sites, in fractional coordinates, are Dy at (0.000, 0.000, 0.000), Dy at (0.000, 0.500, 0.250) and Lu at (0.000, 0.000, 0.500).

For the formation energy, the calculation gives 46 meV per atom. The value obtained for the distance to the lowest polymorph of the same formula is 44 meV/atom.

=====

No. 4
A relaxed Dy3Lu crystal. Source: the Materials Project database, functional meta-GGA r2SCAN.

The space group is P6_3/mmc (No. 194) and the conventional cell measures 7.2076, 7.2076 and 5.5500 Å, with angles of 90.00, 90.00 and 120.00 degrees. The distinct sites, in fractional coordinates, are Dy at (0.1677, 0.3355, 0.2500) and Lu at (0.3333, 0.6667, 0.7500).

For the formation energy, the calculation gives 2 meV per atom. The value obtained for the distance to the lowest polymorph of the same formula is 0 meV/atom.